Record 1
CeSe2 | PBE-GGA | optimized geometry

Unit cell a=14.2801 b=20.9850 c=20.9850 alpha=109.06 beta=90.00 gamma=90.00
Closest atoms and distances in Å follow each position.
Fractional positions:
Se: 0.2500 0.9614 0.6133  2 Ce 2.72
Se: 0.7500 0.7244 0.6109  2 Ce 2.70
Se: 0.0161 0.2799 0.8991  2 Ce 2.71
Se: 0.9603 0.8899 0.6382  2 Ce 2.70-2.71
Se: 0.0150 0.6768 0.5063  2 Ce 2.70
Se: 0.4955 0.3002 0.6998  2 Ce 2.71
Se: 0.7500 0.2226 0.7774  2 Ce 2.72
Se: 0.9839 0.7201 0.1009  2 Ce 2.71
Se: 0.5150 0.3232 0.4937  2 Ce 2.70
Se: 0.9955 0.6998 0.3002  2 Ce 2.71
Se: 0.2500 0.7774 0.2226  2 Ce 2.72
Se: 0.7500 0.3891 0.2756  2 Ce 2.70
Se: 0.0397 0.6382 0.8899  2 Ce 2.70-2.71
Se: 0.7500 0.3707 0.6293  2 Ce 2.69
Se: 0.7500 0.0386 0.3867  2 Ce 2.72
Se: 0.4850 0.4937 0.3232  2 Ce 2.70
Se: 0.7500 0.6133 0.9614  2 Ce 2.72
Se: 0.9850 0.3232 0.4937  2 Ce 2.70
Se: 0.2500 0.6293 0.3707  2 Ce 2.69
Se: 0.4603 0.6382 0.8899  2 Ce 2.70-2.71
Se: 0.0397 0.1101 0.3618  2 Ce 2.70-2.71
Se: 0.0000 0.5000 0.0000  2 Ce 2.70
Se: 0.2500 0.3867 0.0386  2 Ce 2.72
Se: 0.0000 0.2704 0.2704  2 Ce 2.71
Se: 0.0000 0.7296 0.7296  2 Ce 2.71
Se: 0.2500 0.6109 0.7244  2 Ce 2.70
Se: 0.5397 0.8899 0.6382  2 Ce 2.70-2.71
Se: 0.2500 0.2756 0.3891  2 Ce 2.70
Se: 0.0150 0.4937 0.3232  2 Ce 2.70
Se: 0.0045 0.3002 0.6998  2 Ce 2.71
Se: 0.0161 0.1009 0.7201  2 Ce 2.71
Se: 0.9603 0.3618 0.1101  2 Ce 2.70-2.71
Se: 0.4603 0.1101 0.3618  2 Ce 2.70-2.71
Se: 0.5045 0.6998 0.3002  2 Ce 2.71
Se: 0.4839 0.2799 0.8991  2 Ce 2.71
Se: 0.5150 0.5063 0.6768  2 Ce 2.70
Se: 0.9850 0.5063 0.6768  2 Ce 2.70
Se: 0.4850 0.6768 0.5063  2 Ce 2.70
Se: 0.4839 0.1009 0.7201  2 Ce 2.71
Se: 0.5000 0.5000 0.0000  2 Ce 2.70
Se: 0.5397 0.3618 0.1101  2 Ce 2.70-2.71
Se: 0.5161 0.8991 0.2799  2 Ce 2.71
Se: 0.5000 0.7296 0.7296  2 Ce 2.71
Se: 0.5161 0.7201 0.1009  2 Ce 2.71
Se: 0.5000 0.2704 0.2704  2 Ce 2.71
Se: 0.9839 0.8991 0.2799  2 Ce 2.71
Se: 0.5000 0.0000 0.5000  2 Ce 2.70
Se: 0.0000 0.0000 0.5000  2 Ce 2.70
Ce: 0.9336 0.3794 0.2426  4 Se 2.70-2.71
Ce: 0.9364 0.0111 0.3829  4 Se 2.70-2.72
Ce: 0.0636 0.3829 0.0111  4 Se 2.70-2.72
Ce: 0.5597 0.2256 0.7744  4 Se 2.71-2.72
Ce: 0.0664 0.6206 0.7574  4 Se 2.70-2.71
Ce: 0.5636 0.6171 0.9889  4 Se 2.70-2.72
Ce: 0.9403 0.2256 0.7744  4 Se 2.71-2.72
Ce: 0.4336 0.2426 0.3794  4 Se 2.70-2.71
Ce: 0.0620 0.6254 0.3746  4 Se 2.69-2.71
Ce: 0.9380 0.3746 0.6254  4 Se 2.69-2.71
Ce: 0.5620 0.3746 0.6254  4 Se 2.69-2.71
Ce: 0.0597 0.7744 0.2256  4 Se 2.71-2.72
Ce: 0.9364 0.6171 0.9889  4 Se 2.70-2.72
Ce: 0.4380 0.6254 0.3746  4 Se 2.69-2.71
Ce: 0.9336 0.7574 0.6206  4 Se 2.70-2.71
Ce: 0.5664 0.3794 0.2426  4 Se 2.70-2.71
Ce: 0.4336 0.6206 0.7574  4 Se 2.70-2.71
Ce: 0.4364 0.3829 0.0111  4 Se 2.70-2.72
Ce: 0.4364 0.9889 0.6171  4 Se 2.70-2.72
Ce: 0.5636 0.0111 0.3829  4 Se 2.70-2.72
Ce: 0.0636 0.9889 0.6171  4 Se 2.70-2.72
Ce: 0.0664 0.2426 0.3794  4 Se 2.70-2.71
Ce: 0.4403 0.7744 0.2256  4 Se 2.71-2.72
Ce: 0.5664 0.7574 0.6206  4 Se 2.70-2.71

## Properties
The crystal system is orthorhombic. As for the space-group type: No. 63. For the calculated volume, the calculation gives 5943.62 Å³ per cell. The electronic total energy comes out at -5.387 eV per atom. Its calculated density is 2.0 g/cm3. As for the total magnetization: 0.000 μB/atom. As for the total energy after the MP2020 corrections: -410.50 eV/cell.

Record 2
CdAg3 | PBE-GGA | optimized geometry

Unit cell a=5.9496 b=5.9496 c=4.8795 alpha=90.00 beta=90.00 gamma=120.00
Closest atoms and distances in Å follow each position.
Fractional positions:
Ag: 0.3311 0.1655 0.7500  8 Ag 2.95-2.99, 4 Cd 2.97-2.99
Ag: 0.1655 0.8345 0.2500  8 Ag 2.95-2.99, 4 Cd 2.97-2.99
Ag: 0.8345 0.1655 0.7500  8 Ag 2.95-2.99, 4 Cd 2.97-2.99
Ag: 0.1655 0.3311 0.2500  8 Ag 2.95-2.99, 4 Cd 2.97-2.99
Ag: 0.8345 0.6689 0.7500  8 Ag 2.95-2.99, 4 Cd 2.97-2.99
Ag: 0.6689 0.8345 0.2500  8 Ag 2.95-2.99, 4 Cd 2.97-2.99
Cd: 0.3333 0.6667 0.7500  12 Ag 2.97-2.99
Cd: 0.6667 0.3333 0.2500  12 Ag 2.97-2.99

## Properties
The crystal system is hexagonal. As for the space-group type: No. 194. For the calculated volume, the calculation gives 149.58 Å³ per cell. The electronic total energy comes out at -2.401 eV per atom. Its calculated density is 9.7 g/cm3.

Record 3
Li2CuO2 | PBE-GGA | optimized geometry

Unit cell a=2.8689 b=3.5539 c=5.2947 alpha=102.07 beta=90.00 gamma=113.81
Closest atoms and distances in Å follow each position.
Fractional positions:
O: 0.1055 0.2109 0.2568  4 Li 1.98-2.02, 2 Cu 1.99
O: 0.8945 0.7891 0.7432  4 Li 1.98-2.02, 2 Cu 1.99
Li: 0.8280 0.6560 0.3534  4 O 1.98-2.02
Li: 0.1720 0.3440 0.6466  4 O 1.98-2.02
Cu: 0.5000 0.0000 0.0000  4 O 1.99

## Properties
The crystal system is monoclinic. As for the space-group type: No. 12. For the calculated volume, the calculation gives 48.08 Å³ per cell. The electronic total energy comes out at -4.917 eV per atom. Its calculated density is 3.8 g/cm3. As for the total magnetization: 0.201 μB/atom. As for the total energy after the MP2020 corrections: -25.96 eV/cell.

Record 4
EuTi2CdO6F | PBE-GGA | optimized geometry

Unit cell a=7.2745 b=7.2745 c=7.2745 alpha=120.70 beta=118.91 gamma=90.34
Closest atoms and distances in Å follow each position.
Fractional positions:
Ti: 0.5000 0.5000 0.0000  6 O 1.98-2.00
Ti: 0.5000 0.5000 0.5000  6 O 1.97-1.98
Ti: 0.5000 0.0000 0.0000  6 O 1.97-1.98
Ti: 0.0000 0.5000 0.5000  6 O 1.98-2.00
O: 0.4268 0.5797 0.2550  2 Ti 1.98
O: 0.4208 0.1708 0.2500  2 Ti 1.97
O: 0.5792 0.8292 0.7500  2 Ti 1.97
O: 0.8247 0.1718 0.2450  2 Ti 1.98
O: 0.4268 0.1718 0.8471  2 Ti 1.98
O: 0.8247 0.5797 0.6529  2 Ti 1.98
O: 0.8252 0.5752 0.2500  2 Ti 2.00
O: 0.1753 0.8282 0.7550  2 Ti 1.98
O: 0.5732 0.4203 0.7450  2 Ti 1.98
O: 0.1753 0.4203 0.3471  2 Ti 1.98
O: 0.1748 0.4248 0.7500  2 Ti 2.00
O: 0.5732 0.8282 0.1529  2 Ti 1.98
Cd: 0.0000 0.5000 0.0000  2 F 2.18
Cd: 0.0000 0.0000 0.5000  2 F 2.18
F: 0.1204 0.8704 0.2500  2 Cd 2.18, 2 Eu 2.28
F: 0.8796 0.1296 0.7500  2 Cd 2.18, 2 Eu 2.28
Eu: 0.5000 0.0000 0.5000  2 F 2.28, 6 O 2.51-2.55
Eu: 0.0000 0.0000 0.0000  2 F 2.28, 6 O 2.51-2.55

## Properties
The crystal system is orthorhombic. As for the space-group type: No. 74. For the calculated volume, the calculation gives 272.91 Å³ per cell. The electronic total energy comes out at -7.695 eV per atom. Its calculated density is 5.8 g/cm3. As for the total magnetization: 0.184 μB/atom. As for the total energy after the MP2020 corrections: -178.45 eV/cell.

Record 5
HfO3F4 | PBE-GGA | optimized geometry

Unit cell a=12.1214 b=6.5996 c=8.3795 alpha=62.99 beta=90.00 gamma=90.00
Closest atoms and distances in Å follow each position.
Fractional positions:
F: 0.5906 0.4490 0.4734  2 Hf 2.07-2.15
F: 0.9145 0.0290 0.0523  2 Hf 2.09-2.15
F: 0.9094 0.4490 0.9734  2 Hf 2.07-2.15
F: 0.0906 0.5510 0.0266  2 Hf 2.07-2.15
F: 0.9059 0.5736 0.2410  1 Hf 1.93
F: 0.0877 0.1036 0.2541  1 Hf 1.93
F: 0.9123 0.8964 0.7459  1 Hf 1.93
F: 0.0941 0.4264 0.7590  1 Hf 1.93
F: 0.4123 0.1036 0.7541  1 Hf 1.93
F: 0.4145 0.9710 0.4477  2 Hf 2.09-2.15
F: 0.5877 0.8964 0.2459  1 Hf 1.93
F: 0.4059 0.4264 0.2590  1 Hf 1.93
F: 0.5941 0.5736 0.7410  1 Hf 1.93
F: 0.0855 0.9710 0.9477  2 Hf 2.09-2.15
F: 0.5855 0.0290 0.5523  2 Hf 2.09-2.15
F: 0.4094 0.5510 0.5266  2 Hf 2.07-2.15
O: 0.8028 0.9773 0.4015  2 O 1.26-1.32
O: 0.6972 0.9773 0.9015  2 O 1.26-1.32
O: 0.2479 0.2140 0.0043  1 O 1.32
O: 0.7510 0.1562 0.8091  1 O 1.26
O: 0.3028 0.0227 0.0985  2 O 1.26-1.32
O: 0.2510 0.8438 0.6909  1 O 1.26
O: 0.2490 0.8438 0.1909  1 O 1.26
O: 0.7479 0.7860 0.4957  1 O 1.32
O: 0.2521 0.2140 0.5043  1 O 1.32
O: 0.1972 0.0227 0.5985  2 O 1.26-1.32
O: 0.7490 0.1562 0.3091  1 O 1.26
O: 0.7521 0.7860 0.9957  1 O 1.32
Hf: 0.4524 0.2497 0.5037  6 F 1.93-2.15
Hf: 0.5476 0.7503 0.4963  6 F 1.93-2.15
Hf: 0.0476 0.2497 0.0037  6 F 1.93-2.15
Hf: 0.9524 0.7503 0.9963  6 F 1.93-2.15

## Properties
The crystal system is monoclinic. As for the space-group type: No. 14. For the calculated volume, the calculation gives 597.22 Å³ per cell. The electronic total energy comes out at -6.173 eV per atom. Its calculated density is 3.4 g/cm3. As for the total magnetization: 0.000 μB/atom. As for the total energy after the MP2020 corrections: -204.91 eV/cell.

Record 6
Lu5Ge3 | PBE-GGA | optimized geometry

Unit cell a=8.2943 b=8.2943 c=6.2077 alpha=90.00 beta=90.00 gamma=120.00
Closest atoms and distances in Å follow each position.
Fractional positions:
Lu: 0.2433 0.0000 0.7500  3 Ge 2.84-3.03
Lu: 0.6667 0.3333 0.5000  6 Ge 2.99, 2 Lu 3.10
Lu: 0.0000 0.7567 0.2500  3 Ge 2.84-3.03
Lu: 0.7567 0.0000 0.2500  3 Ge 2.84-3.03
Lu: 0.0000 0.2433 0.7500  3 Ge 2.84-3.03
Lu: 0.6667 0.3333 0.0000  6 Ge 2.99, 2 Lu 3.10
Lu: 0.2433 0.2433 0.2500  3 Ge 2.84-3.03
Lu: 0.3333 0.6667 0.0000  6 Ge 2.99, 2 Lu 3.10
Lu: 0.7567 0.7567 0.7500  3 Ge 2.84-3.03
Lu: 0.3333 0.6667 0.5000  6 Ge 2.99, 2 Lu 3.10
Ge: 0.0000 0.3917 0.2500  7 Lu 2.84-3.03
Ge: 0.6083 0.6083 0.2500  7 Lu 2.84-3.03
Ge: 0.3917 0.0000 0.2500  7 Lu 2.84-3.03
Ge: 0.3917 0.3917 0.7500  7 Lu 2.84-3.03
Ge: 0.0000 0.6083 0.7500  7 Lu 2.84-3.03
Ge: 0.6083 0.0000 0.7500  7 Lu 2.84-3.03

## Properties
The crystal system is hexagonal. As for the space-group type: No. 193. For the calculated volume, the calculation gives 369.85 Å³ per cell. The electronic total energy comes out at -5.354 eV per atom. Its calculated density is 9.8 g/cm3.